The following is a DFT calculation (meta-GGA r2SCAN) of an optimized crystal structure of PrEr3.

a = 5.0444 Å, b = 5.0452 Å, c = 5.0452 Å
α = 90.00°, β = 90.00°, γ = 90.00°
With the nearest neighbours (Å) after each atom.
Sites, in units of the cell vectors:
1 Pr 0.0000 0.0000 0.0000  12 Er 3.57
2 Er 0.0000 0.5000 0.5000  8 Er 3.57, 4 Pr 3.57
3 Er 0.5000 0.0000 0.5000  4 Pr 3.57, 8 Er 3.57
4 Er 0.5000 0.5000 0.0000  4 Pr 3.57, 8 Er 3.57

Summary:
The symmetry is Pm-3m. The calculation puts the total energy at -32.7327 eV/atom. The formation energy is 0.062 eV per atom.

The following is a DFT calculation (meta-GGA r2SCAN) of an optimized crystal structure of Tl2S.

a = 9.4916 Å, b = 9.4916 Å, c = 9.4916 Å
α = 81.15°, β = 81.15°, γ = 81.15°
With the nearest neighbours (Å) after each atom.
Sites, in units of the cell vectors:
1 Tl 0.7614 0.7264 0.4329  3 S 2.87-2.98
2 Tl 0.7662 0.0944 0.0600  3 S 2.87-2.98
3 Tl 0.6590 0.6960 0.0341  3 S 2.89-3.05
4 Tl 0.0997 0.4274 0.3937  3 S 2.86-2.98
5 Tl 0.0944 0.0600 0.7662  3 S 2.87-2.98
6 Tl 0.4329 0.7614 0.7264  3 S 2.87-2.98
7 Tl 0.7006 0.3261 0.3623  3 S 2.89-3.05
8 Tl 0.3670 0.9923 0.0295  3 S 2.89-3.05
9 Tl 0.9923 0.0295 0.3670  3 S 2.89-3.05
10 Tl 0.3623 0.7006 0.3261  3 S 2.89-3.05
11 Tl 0.4274 0.3937 0.0997  3 S 2.86-2.98
12 Tl 0.7264 0.4329 0.7614  3 S 2.87-2.98
13 Tl 0.3937 0.0997 0.4274  3 S 2.86-2.98
14 Tl 0.6960 0.0341 0.6590  3 S 2.89-3.05
15 Tl 0.0600 0.7662 0.0944  3 S 2.87-2.98
16 Tl 0.0295 0.3670 0.9923  3 S 2.89-3.05
17 Tl 0.0341 0.6590 0.6960  3 S 2.89-3.05
18 Tl 0.3261 0.3623 0.7006  3 S 2.89-3.05
19 S 0.5352 0.5352 0.5352  6 Tl 2.89-2.98
20 S 0.2016 0.2016 0.2016  6 Tl 2.89-2.98
21 S 0.2476 0.5809 0.9140  6 Tl 2.86-3.05
22 S 0.8740 0.5405 0.2070  6 Tl 2.90-2.96
23 S 0.9140 0.2476 0.5809  6 Tl 2.86-3.05
24 S 0.2070 0.8740 0.5405  6 Tl 2.90-2.96
25 S 0.5809 0.9140 0.2476  6 Tl 2.86-3.05
26 S 0.5405 0.2070 0.8740  6 Tl 2.90-2.96
27 S 0.8682 0.8682 0.8682  6 Tl 2.89-2.98

Summary:
The calculation puts the total energy at -38.5548 eV/atom. The formation energy is -0.424 eV per atom.

The following is a DFT calculation (meta-GGA r2SCAN) of an optimized crystal structure of HfB12.

a = 5.2115 Å, b = 5.2115 Å, c = 5.2115 Å
α = 60.00°, β = 60.00°, γ = 60.00°
With the nearest neighbours (Å) after each atom.
Sites, in units of the cell vectors:
1 Hf 0.0000 0.0000 0.0000  24 B 2.74
2 B 0.8396 0.5000 0.5000  5 B 1.67-1.77
3 B 0.5000 0.5000 0.8396  5 B 1.67-1.77
4 B 0.8396 0.1604 0.5000  5 B 1.67-1.77
5 B 0.5000 0.8396 0.1604  5 B 1.67-1.77
6 B 0.5000 0.1604 0.8396  5 B 1.67-1.77
7 B 0.5000 0.8396 0.5000  5 B 1.67-1.77
8 B 0.8396 0.5000 0.1604  5 B 1.67-1.77
9 B 0.1604 0.8396 0.5000  5 B 1.67-1.77
10 B 0.5000 0.1604 0.5000  5 B 1.67-1.77
11 B 0.1604 0.5000 0.8396  5 B 1.67-1.77
12 B 0.5000 0.5000 0.1604  5 B 1.67-1.77
13 B 0.1604 0.5000 0.5000  5 B 1.67-1.77

Summary:
The symmetry is Fm-3m. The calculation puts the total energy at -10.4483 eV/atom. The formation energy is -0.194 eV per atom.

The following is a DFT calculation (meta-GGA r2SCAN) of an optimized crystal structure of MgH4S2O9.

a = 8.5507 Å, b = 4.9345 Å, c = 16.0807 Å
α = 90.00°, β = 109.98°, γ = 90.00°
With the nearest neighbours (Å) after each atom.
Sites, in units of the cell vectors:
1 Mg 0.7575 0.7487 0.5109  6 O 2.04-2.08
2 Mg 0.7575 0.7513 0.0109  6 O 2.04-2.08
3 Mg 0.2425 0.2513 0.4891  6 O 2.04-2.08
4 Mg 0.2425 0.2487 0.9891  6 O 2.04-2.08
5 H 0.4112 0.7318 0.2224  1 O 1.01
6 H 0.4112 0.7682 0.7224  1 O 1.01
7 H 0.5888 0.2682 0.7776  1 O 1.01
8 H 0.5888 0.2318 0.2776  1 O 1.01
9 H 0.1547 0.4310 0.2323  1 O 1.01
10 H 0.1547 0.0690 0.7323  1 O 1.01
11 H 0.8453 0.5690 0.7677  1 O 1.01
12 H 0.8453 0.9310 0.2677  1 O 1.01
13 H 0.3060 0.7032 0.3247  1 O 0.98
14 H 0.3060 0.7968 0.8247  1 O 0.98
15 H 0.6940 0.2968 0.6753  1 O 0.98
16 H 0.6940 0.2032 0.1753  1 O 0.98
17 H 0.1928 0.8827 0.2476  1 O 0.98
18 H 0.1928 0.6173 0.7476  1 O 0.98
19 H 0.8072 0.1173 0.7524  1 O 0.98
20 H 0.8072 0.3827 0.2524  1 O 0.98
21 S 0.5307 0.2406 0.3980  4 O 1.45-1.55
22 S 0.5307 0.2594 0.8980  4 O 1.45-1.55
23 S 0.4693 0.7594 0.6020  4 O 1.45-1.55
24 S 0.4693 0.7406 0.1020  4 O 1.45-1.55
25 S 0.0012 0.7527 0.3892  4 O 1.44-1.57
26 S 0.0012 0.7473 0.8892  4 O 1.44-1.57
27 S 0.9988 0.2473 0.6108  4 O 1.44-1.57
28 S 0.9988 0.2527 0.1108  4 O 1.44-1.57
29 O 0.6770 0.4068 0.4365  1 S 1.45
30 O 0.6770 0.0932 0.9365  1 S 1.45
31 O 0.3230 0.5932 0.5635  1 S 1.45
32 O 0.3230 0.9068 0.0635  1 S 1.45
33 O 0.5582 0.9590 0.4258  1 S 1.45
34 O 0.5582 0.5410 0.9258  1 S 1.45
35 O 0.4418 0.0410 0.5742  1 S 1.45
36 O 0.4418 0.4590 0.0742  1 S 1.45
37 O 0.3814 0.3514 0.4094  1 S 1.46
38 O 0.3814 0.1486 0.9094  1 S 1.46
39 O 0.6186 0.6486 0.5906  1 S 1.46
40 O 0.6186 0.8514 0.0906  1 S 1.46
41 O 0.4877 0.2482 0.2963  1 H 1.01
42 O 0.4877 0.2518 0.7963  1 H 1.01
43 O 0.5123 0.7518 0.7037  1 H 1.01
44 O 0.5123 0.7482 0.2037  1 H 1.01
45 O 0.8850 0.8532 0.4292  1 S 1.44
46 O 0.8850 0.6468 0.9292  1 S 1.44
47 O 0.1150 0.1468 0.5708  1 S 1.44
48 O 0.1150 0.3532 0.0708  1 S 1.44
49 O 0.8540 0.0731 0.5938  1 S 1.45
50 O 0.8540 0.4269 0.0938  1 S 1.45
51 O 0.1460 0.9269 0.4062  1 S 1.45
52 O 0.1460 0.5731 0.9062  1 S 1.45
53 O 0.9552 0.5301 0.5937  1 S 1.45
54 O 0.9552 0.9699 0.0937  1 S 1.45
55 O 0.0448 0.4699 0.4063  1 S 1.45
56 O 0.0448 0.0301 0.9063  1 S 1.45
57 O 0.0930 0.2546 0.2134  1 H 1.01
58 O 0.0930 0.2454 0.7134  1 H 1.01
59 O 0.9070 0.7454 0.7866  1 H 1.01
60 O 0.9070 0.7546 0.2866  1 H 1.01
61 O 0.2584 0.7839 0.7604  2 H 0.98
62 O 0.2584 0.7161 0.2604  2 H 0.98
63 O 0.7416 0.2161 0.2396  2 H 0.98
64 O 0.7416 0.2839 0.7396  2 H 0.98

Summary:
The symmetry is P2_1/c. The calculation puts the total energy at -7.0491 eV/atom. The formation energy is -1.561 eV per atom.

The following is a DFT calculation (meta-GGA r2SCAN) of an optimized crystal structure of DyZn2.

a = 4.4390 Å, b = 5.6011 Å, c = 5.6011 Å
α = 78.03°, β = 66.66°, γ = 66.65°
With the nearest neighbours (Å) after each atom.
Sites, in units of the cell vectors:
1 Dy 0.4695 0.2805 0.7805  12 Zn 3.03-3.21
2 Dy 0.5305 0.7195 0.2195  12 Zn 3.03-3.21
3 Zn 0.8340 0.1202 0.2118  3 Zn 2.55-2.57
4 Zn 0.1660 0.2882 0.3798  3 Zn 2.55-2.57
5 Zn 0.8340 0.7118 0.6202  3 Zn 2.55-2.57
6 Zn 0.1660 0.8798 0.7882  3 Zn 2.55-2.57

Summary:
The symmetry is Imma. The calculation puts the total energy at -17.0486 eV/atom. The formation energy is -0.448 eV per atom.

The following is a DFT calculation (meta-GGA r2SCAN) of an optimized crystal structure of ScGePd.

a = 6.7289 Å, b = 6.7289 Å, c = 3.9379 Å
α = 90.00°, β = 90.00°, γ = 120.00°
With the nearest neighbours (Å) after each atom.
Sites, in units of the cell vectors:
1 Sc 0.0000 0.5766 0.0000  5 Ge 2.81-2.85, 2 Pd 2.96
2 Sc 0.4234 0.4234 0.0000  5 Ge 2.81-2.85, 2 Pd 2.96
3 Sc 0.5766 0.0000 0.0000  5 Ge 2.81-2.85, 2 Pd 2.96
4 Ge 0.3333 0.6667 0.5000  3 Pd 2.58, 6 Sc 2.81
5 Ge 0.6667 0.3333 0.5000  3 Pd 2.58, 6 Sc 2.81
6 Ge 0.0000 0.0000 0.0000  6 Pd 2.58, 3 Sc 2.85
7 Pd 0.0000 0.2488 0.5000  4 Ge 2.58
8 Pd 0.7512 0.7512 0.5000  4 Ge 2.58
9 Pd 0.2488 0.0000 0.5000  4 Ge 2.58

Summary:
The symmetry is P-62m. The calculation puts the total energy at -17.0467 eV/atom. The formation energy is -0.970 eV per atom.